# Na5CoSO2

An optimized crystal structure of Na5CoSO2 (r2SCAN, the Materials Project database).

a = 6.4108 Å, b = 6.4107 Å, c = 8.0265 Å
α = 90.06°, β = 90.04°, γ = 90.00°
Closest atoms and distances in Å follow each position.
Fractional positions:
Na  0.0000  0.0000  0.5000  2 O 2.25
Na  0.5000  0.5000  0.5000  2 O 2.25
Na  0.2498  0.2496  0.2556  2 O 2.28-2.29
Na  0.7497  0.7496  0.2558  2 O 2.28-2.29
Na  0.2496  0.7495  0.2552  2 O 2.28
Na  0.7496  0.2495  0.2562  2 O 2.29
Na  0.2503  0.2504  0.7442  2 O 2.28-2.29
Na  0.7502  0.7504  0.7444  2 O 2.28-2.29
Na  0.2504  0.7505  0.7438  2 O 2.29
Na  0.7504  0.2505  0.7448  2 O 2.28
Co  0.5000  0.5000  0.0000  2 O 1.76
Co  0.0000  0.0000  0.0000  2 O 1.76
S  0.5000  0.0000  0.5000  12 Na 2.99-3.21
S  0.0000  0.5000  0.5000  12 Na 3.00-3.21
O  0.9993  0.0001  0.7806  1 Co 1.76
O  0.5003  0.4994  0.7807  1 Co 1.76
O  0.0007  0.9999  0.2194  1 Co 1.76
O  0.4997  0.5006  0.2193  1 Co 1.76

Values from the calculation:
- calculated density (Mg/m³) = 2.4
- E (eV/f.u.) = -62.6


# NbCo2

An optimized crystal structure of NbCo2 (r2SCAN, the Materials Project database).

a = 4.8017 Å, b = 4.8017 Å, c = 15.8028 Å
α = 90.00°, β = 90.00°, γ = 120.00°
Closest atoms and distances in Å follow each position.
Fractional positions:
Nb  0.0000  0.0000  0.4061  12 Co 2.81-2.82, 4 Nb 2.94-2.97
Nb  0.0000  0.0000  0.5939  12 Co 2.81-2.82, 4 Nb 2.94-2.97
Nb  0.0000  0.0000  0.9061  12 Co 2.81-2.82, 4 Nb 2.94-2.97
Nb  0.0000  0.0000  0.0939  12 Co 2.81-2.82, 4 Nb 2.94-2.97
Nb  0.3333  0.6667  0.6562  12 Co 2.82-2.83, 4 Nb 2.94-2.96
Nb  0.6667  0.3333  0.3438  12 Co 2.82-2.83, 4 Nb 2.94-2.96
Nb  0.6667  0.3333  0.1562  12 Co 2.82-2.83, 4 Nb 2.94-2.96
Nb  0.3333  0.6667  0.8438  12 Co 2.82-2.83, 4 Nb 2.94-2.96
Co  0.3333  0.6667  0.3763  6 Co 2.40-2.44
Co  0.6667  0.3333  0.6237  6 Co 2.40-2.44
Co  0.6667  0.3333  0.8763  6 Co 2.40-2.44
Co  0.3333  0.6667  0.1237  6 Co 2.40-2.44
Co  0.5000  0.5000  0.5000  6 Co 2.40
Co  0.5000  0.0000  0.5000  6 Co 2.40
Co  0.0000  0.5000  0.5000  6 Co 2.40
Co  0.5000  0.5000  0.0000  6 Co 2.40
Co  0.5000  0.0000  0.0000  6 Co 2.40
Co  0.0000  0.5000  0.0000  6 Co 2.40
Co  0.1651  0.8349  0.2500  6 Co 2.38-2.44
Co  0.1651  0.3303  0.2500  6 Co 2.38-2.44
Co  0.6697  0.8349  0.2500  6 Co 2.38-2.44
Co  0.8349  0.1651  0.7500  6 Co 2.38-2.44
Co  0.8349  0.6697  0.7500  6 Co 2.38-2.44
Co  0.3303  0.1651  0.7500  6 Co 2.38-2.44

Values from the calculation:
- space group = No. 194
- calculated density (Mg/m³) = 8.9
- E (eV/f.u.) = -51.4


# NbCo2

An optimized crystal structure of NbCo2 (r2SCAN, the Materials Project database).

a = 4.8024 Å, b = 4.8024 Å, c = 4.8025 Å
α = 60.00°, β = 60.00°, γ = 60.00°
Closest atoms and distances in Å follow each position.
Fractional positions:
Nb  0.8750  0.8750  0.8750  12 Co 2.82, 4 Nb 2.94
Nb  0.1250  0.1250  0.1250  12 Co 2.82, 4 Nb 2.94
Co  0.5000  0.5000  0.5000  6 Co 2.40
Co  0.5000  0.5000  0.0000  6 Co 2.40
Co  0.0000  0.5000  0.5000  6 Co 2.40
Co  0.5000  0.0000  0.5000  6 Co 2.40

Values from the calculation:
- space group = No. 227
- calculated density (Mg/m³) = 8.9
- E (eV/f.u.) = -51.4


# NbCoP

An optimized crystal structure of NbCoP (r2SCAN, the Materials Project database).

a = 3.5855 Å, b = 6.1306 Å, c = 6.9307 Å
α = 90.00°, β = 90.00°, γ = 90.00°
Closest atoms and distances in Å follow each position.
Fractional positions:
Nb  0.2500  0.5257  0.3281  5 P 2.55-2.62, 6 Co 2.78-2.84
Nb  0.2500  0.0257  0.1719  5 P 2.55-2.62, 6 Co 2.78-2.84
Nb  0.7500  0.9743  0.8281  5 P 2.55-2.62, 6 Co 2.78-2.84
Nb  0.7500  0.4743  0.6719  5 P 2.55-2.62, 6 Co 2.78-2.84
Co  0.7500  0.3545  0.0611  4 P 2.23-2.36
Co  0.2500  0.1455  0.5611  4 P 2.23-2.36
Co  0.7500  0.8545  0.4389  4 P 2.23-2.36
Co  0.2500  0.6455  0.9389  4 P 2.23-2.36
P  0.2500  0.7805  0.6195  4 Co 2.23-2.36
P  0.2500  0.2805  0.8805  4 Co 2.23-2.36
P  0.7500  0.2195  0.3805  4 Co 2.23-2.36
P  0.7500  0.7195  0.1195  4 Co 2.23-2.36

Values from the calculation:
- space group = No. 62
- calculated density (Mg/m³) = 8.0
- E (eV/f.u.) = -49.5


# Nb2Co12P7

An optimized crystal structure of Nb2Co12P7 (r2SCAN, the Materials Project database).

a = 8.8115 Å, b = 8.8115 Å, c = 3.5022 Å
α = 90.00°, β = 90.00°, γ = 120.00°
Closest atoms and distances in Å follow each position.
Fractional positions:
Nb  0.6667  0.3333  0.5000  6 P 2.72, 9 Co 2.83-3.03
Nb  0.3333  0.6666  0.0000  6 P 2.73, 9 Co 2.88-2.98
Co  0.1204  0.8430  0.0000  4 P 2.12-2.22
Co  0.3874  0.4386  0.5000  4 P 2.16-2.24
Co  0.7226  0.8796  0.0000  4 P 2.12-2.22
Co  0.5614  0.9487  0.5000  4 P 2.16-2.24
Co  0.2271  0.0981  0.5000  5 P 2.25-2.47
Co  0.8710  0.7729  0.5000  5 P 2.25-2.47
Co  0.9019  0.1290  0.5000  5 P 2.25-2.47
Co  0.9353  0.3693  0.0000  4 P 2.14-2.30
Co  0.6307  0.5660  0.0000  4 P 2.14-2.30
Co  0.4340  0.0647  0.0000  4 P 2.14-2.30
Co  0.0512  0.6126  0.5000  4 P 2.16-2.24
Co  0.1570  0.2774  0.0000  4 P 2.12-2.22
P  0.0000  0.0000  0.0000  3 Co 2.12
P  0.5901  0.7105  0.5000  7 Co 2.16-2.30
P  0.7033  0.1174  0.0000  5 Co 2.14-2.23
P  0.8826  0.5859  0.0000  5 Co 2.14-2.23
P  0.4141  0.2967  0.0000  5 Co 2.14-2.23
P  0.2896  0.8797  0.5000  7 Co 2.16-2.30
P  0.1203  0.4099  0.5000  7 Co 2.16-2.30

Values from the calculation:
- space group = No. 174
- calculated density (Mg/m³) = 7.8
- E (eV/f.u.) = -283.7


# Nb4CoS8

An optimized crystal structure of Nb4CoS8 (r2SCAN, the Materials Project database).

a = 6.7156 Å, b = 6.7156 Å, c = 12.0053 Å
α = 90.00°, β = 90.00°, γ = 120.00°
Closest atoms and distances in Å follow each position.
Fractional positions:
Nb  0.0127  0.5063  0.2500  6 S 2.46-2.51
Nb  0.9873  0.4937  0.7500  6 S 2.46-2.51
Nb  0.4937  0.5063  0.2500  6 S 2.46-2.51
Nb  0.5063  0.4937  0.7500  6 S 2.46-2.51
Nb  0.4937  0.9873  0.2500  6 S 2.46-2.51
Nb  0.5063  0.0127  0.7500  6 S 2.46-2.51
Nb  0.0000  0.0000  0.2500  6 S 2.49
Nb  0.0000  0.0000  0.7500  6 S 2.49
Co  0.0000  0.0000  0.0000  6 S 2.42
Co  0.0000  0.0000  0.5000  6 S 2.42
S  0.3334  0.1667  0.1205  1 Co 2.42, 3 Nb 2.49-2.51
S  0.6666  0.8333  0.8796  1 Co 2.42, 3 Nb 2.49-2.51
S  0.8333  0.1667  0.1205  1 Co 2.42, 3 Nb 2.49-2.51
S  0.6666  0.8333  0.6205  1 Co 2.42, 3 Nb 2.49-2.51
S  0.1667  0.8333  0.8796  1 Co 2.42, 3 Nb 2.49-2.51
S  0.3334  0.1667  0.3795  1 Co 2.42, 3 Nb 2.49-2.51
S  0.8333  0.6666  0.1205  1 Co 2.42, 3 Nb 2.49-2.51
S  0.1667  0.8333  0.6205  1 Co 2.42, 3 Nb 2.49-2.51
S  0.1667  0.3334  0.8796  1 Co 2.42, 3 Nb 2.49-2.51
S  0.8333  0.1667  0.3795  1 Co 2.42, 3 Nb 2.49-2.51
S  0.1667  0.3334  0.6205  1 Co 2.42, 3 Nb 2.49-2.51
S  0.8333  0.6666  0.3795  1 Co 2.42, 3 Nb 2.49-2.51
S  0.3333  0.6667  0.1166  3 Nb 2.46
S  0.6667  0.3333  0.8834  3 Nb 2.46
S  0.6667  0.3333  0.6166  3 Nb 2.46
S  0.3333  0.6667  0.3834  3 Nb 2.46

Values from the calculation:
- space group = No. 194
- calculated density (Mg/m³) = 4.9
- E (eV/f.u.) = -191.5


# Nb3CoSe6

An optimized crystal structure of Nb3CoSe6 (r2SCAN, the Materials Project database).

a = 6.0816 Å, b = 6.0816 Å, c = 12.5930 Å
α = 90.00°, β = 90.00°, γ = 120.00°
Closest atoms and distances in Å follow each position.
Fractional positions:
Nb  0.3333  0.6667  0.4994  6 Se 2.61-2.63
Nb  0.3333  0.6667  0.0006  6 Se 2.61-2.63
Nb  0.6667  0.3333  0.5006  6 Se 2.61-2.63
Nb  0.6667  0.3333  0.9994  6 Se 2.61-2.63
Nb  0.0000  0.0000  0.0000  6 Se 2.61
Nb  0.0000  0.0000  0.5000  6 Se 2.61
Co  0.3333  0.6667  0.2499  6 Se 2.53
Co  0.6667  0.3333  0.7501  6 Se 2.53
Se  0.6666  0.6695  0.8685  1 Co 2.53, 3 Nb 2.61-2.63
Se  0.6695  0.6666  0.1314  1 Co 2.53, 3 Nb 2.61-2.63
Se  0.6695  0.0028  0.3686  1 Co 2.53, 3 Nb 2.61-2.63
Se  0.3334  0.3305  0.3686  1 Co 2.53, 3 Nb 2.61-2.63
Se  0.9972  0.6666  0.3686  1 Co 2.53, 3 Nb 2.61-2.63
Se  0.0030  0.3334  0.8685  1 Co 2.53, 3 Nb 2.61-2.63
Se  0.3305  0.3334  0.6314  1 Co 2.53, 3 Nb 2.61-2.63
Se  0.0029  0.6695  0.6314  1 Co 2.53, 3 Nb 2.61-2.63
Se  0.3305  0.9970  0.8685  1 Co 2.53, 3 Nb 2.61-2.63
Se  0.6666  0.9971  0.6314  1 Co 2.53, 3 Nb 2.61-2.63
Se  0.3334  0.0029  0.1314  1 Co 2.53, 3 Nb 2.61-2.63
Se  0.9971  0.3305  0.1314  1 Co 2.53, 3 Nb 2.61-2.63

Values from the calculation:
- space group = No. 182
- calculated density (Mg/m³) = 6.7
- E (eV/f.u.) = -182.4


# Nb4CoSe8

An optimized crystal structure of Nb4CoSe8 (r2SCAN, the Materials Project database).

a = 6.9959 Å, b = 6.9959 Å, c = 12.6050 Å
α = 90.00°, β = 90.00°, γ = 120.00°
Closest atoms and distances in Å follow each position.
Fractional positions:
Nb  0.0000  0.0000  0.2501  6 Se 2.61
Nb  0.0000  0.0000  0.7499  6 Se 2.61
Nb  0.5100  0.0200  0.2500  6 Se 2.57-2.65
Nb  0.9800  0.4900  0.2500  6 Se 2.57-2.65
Nb  0.5100  0.4900  0.2500  6 Se 2.57-2.65
Nb  0.4900  0.9800  0.7500  6 Se 2.57-2.65
Nb  0.0200  0.5100  0.7500  6 Se 2.57-2.65
Nb  0.4900  0.5100  0.7500  6 Se 2.57-2.65
Co  0.0000  0.0000  0.5000  6 Se 2.53
Co  0.0000  0.0000  0.0000  6 Se 2.53
Se  0.3333  0.6667  0.8880  3 Nb 2.57
Se  0.6667  0.3333  0.1120  3 Nb 2.57
Se  0.6667  0.3333  0.3879  3 Nb 2.57
Se  0.3333  0.6667  0.6121  3 Nb 2.57
Se  0.1678  0.8322  0.3801  1 Co 2.53, 3 Nb 2.61-2.65
Se  0.1678  0.3356  0.3801  1 Co 2.53, 3 Nb 2.61-2.65
Se  0.6644  0.8322  0.3801  1 Co 2.53, 3 Nb 2.61-2.65
Se  0.8322  0.1678  0.6200  1 Co 2.53, 3 Nb 2.61-2.65
Se  0.8322  0.6644  0.6200  1 Co 2.53, 3 Nb 2.61-2.65
Se  0.3356  0.1678  0.6200  1 Co 2.53, 3 Nb 2.61-2.65
Se  0.8322  0.1678  0.8799  1 Co 2.53, 3 Nb 2.61-2.64
Se  0.8322  0.6643  0.8799  1 Co 2.53, 3 Nb 2.61-2.64
Se  0.3357  0.1678  0.8799  1 Co 2.53, 3 Nb 2.61-2.64
Se  0.1678  0.8322  0.1200  1 Co 2.53, 3 Nb 2.61-2.65
Se  0.1678  0.3356  0.1200  1 Co 2.53, 3 Nb 2.61-2.65
Se  0.6644  0.8322  0.1200  1 Co 2.53, 3 Nb 2.61-2.65

Values from the calculation:
- space group = No. 194
- calculated density (Mg/m³) = 6.6
- E (eV/f.u.) = -238.8


What did the fourth record say?
# NbCoP

An optimized crystal structure of NbCoP (r2SCAN, the Materials Project database).

a = 3.5855 Å, b = 6.1306 Å, c = 6.9307 Å
α = 90.00°, β = 90.00°, γ = 90.00°
Closest atoms and distances in Å follow each position.
Fractional positions:
Nb  0.2500  0.5257  0.3281  5 P 2.55-2.62, 6 Co 2.78-2.84
Nb  0.2500  0.0257  0.1719  5 P 2.55-2.62, 6 Co 2.78-2.84
Nb  0.7500  0.9743  0.8281  5 P 2.55-2.62, 6 Co 2.78-2.84
Nb  0.7500  0.4743  0.6719  5 P 2.55-2.62, 6 Co 2.78-2.84
Co  0.7500  0.3545  0.0611  4 P 2.23-2.36
Co  0.2500  0.1455  0.5611  4 P 2.23-2.36
Co  0.7500  0.8545  0.4389  4 P 2.23-2.36
Co  0.2500  0.6455  0.9389  4 P 2.23-2.36
P  0.2500  0.7805  0.6195  4 Co 2.23-2.36
P  0.2500  0.2805  0.8805  4 Co 2.23-2.36
P  0.7500  0.2195  0.3805  4 Co 2.23-2.36
P  0.7500  0.7195  0.1195  4 Co 2.23-2.36

Values from the calculation:
- space group = No. 62
- calculated density (Mg/m³) = 8.0
- E (eV/f.u.) = -49.5